(1)
Computed, not measured: PmNdTl2 after structural relaxation at the r²SCAN level of DFT.

Lattice parameters (Å, degrees): 7.757 7.757 7.757 90.00 90.00 90.00
Space group Fm-3m (No. 225)
Unique sites:
Pm  0.000  0.000  0.000
Nd  0.000  0.000  0.500
Tl  0.250  0.250  0.250

- Formation enthalpy at 0 K: -0.505 eV per atom
- Electronic total energy: -41.835 eV per atom
- Magnetization: 0.000 μB/atom

***

(2)
Computed, not measured: PrNd after structural relaxation at the r²SCAN level of DFT.

Lattice parameters (Å, degrees): 3.7296 3.7296 11.9455 90.00 90.00 120.00
Space group P6_3/mmc (No. 194)
Unique sites:
Pr  0.0000  0.0000  0.0000
Nd  0.3333  0.6667  0.2500

- Formation enthalpy at 0 K: 0.005 eV per atom
- Electronic total energy: -29.406 eV per atom
- Magnetization: 0.000 μB/atom
- Energy relative to the lowest polymorph listed for this composition: 0.0000 eV/atom

***

> Among the records above, which one has the highest formation enthalpy at 0 K?

PrNd

***

> What is the electronic total energy in the first record?

-41.835 eV per atom